No. 1
The following is a r²SCAN calculation of ThUC2 after structural relaxation, from the Materials Project database.

- space-group type = R-3m

abc: 6.266 6.266 6.266
angles: 33.63 33.63 33.63
Positions (direct):
C 0.266 0.266 0.266
C 0.734 0.734 0.734
Th 0.500 0.500 0.500
U 0.000 0.000 0.000

No. 2
The following is a r²SCAN calculation of Nb9PO25 after structural relaxation, from the Materials Project database.

- space-group type = C2

abc: 11.323 11.323 15.777
angles: 45.83 45.83 19.67
Positions (direct):
O 0.879 0.889 0.063
O 0.484 0.417 0.484
O 0.808 0.842 0.954
O 0.396 0.377 0.365
O 0.051 0.054 0.831
O 0.487 0.513 0.000
O 0.033 0.097 0.386
O 0.240 0.256 0.139
O 0.855 0.836 0.510
O 0.111 0.121 0.937
O 0.348 0.364 0.799
O 0.164 0.145 0.490
O 0.240 0.202 0.604
O 0.636 0.652 0.201
O 0.002 0.978 0.729
O 0.744 0.760 0.861
O 0.022 0.998 0.271
O 0.271 0.291 0.709
O 0.903 0.967 0.614
O 0.583 0.516 0.516
O 0.798 0.760 0.396
O 0.946 0.949 0.169
O 0.623 0.604 0.635
O 0.158 0.192 0.046
O 0.709 0.729 0.291
P 0.751 0.249 0.500
Nb 0.893 0.882 0.783
Nb 0.117 0.102 0.672
Nb 0.666 0.673 0.443
Nb 0.213 0.223 0.891
Nb 0.898 0.883 0.328
Nb 0.118 0.107 0.217
Nb 0.777 0.787 0.109
Nb 0.327 0.334 0.557
Nb 0.958 0.042 0.000

No. 3
The following is a r²SCAN calculation of Ba2SmBiO6 after structural relaxation, from the Materials Project database.

- space-group type = Pn-3

abc: 8.731 8.731 8.731
angles: 90.00 90.00 90.00
Positions (direct):
Ba 0.500 0.000 0.500
Ba 0.000 0.000 0.000
Ba 0.500 0.500 0.000
Ba 0.500 0.000 0.000
Ba 0.500 0.500 0.500
Ba 0.000 0.500 0.000
Ba 0.000 0.500 0.500
Ba 0.000 0.000 0.500
O 0.768 0.730 0.510
O 0.510 0.768 0.730
O 0.732 0.770 0.990
O 0.270 0.510 0.232
O 0.730 0.490 0.232
O 0.010 0.732 0.230
O 0.230 0.010 0.732
O 0.730 0.510 0.768
O 0.270 0.490 0.768
O 0.232 0.730 0.490
O 0.230 0.990 0.268
O 0.490 0.768 0.270
O 0.268 0.770 0.010
O 0.770 0.010 0.268
O 0.010 0.268 0.770
O 0.490 0.232 0.730
O 0.990 0.732 0.770
O 0.732 0.230 0.010
O 0.770 0.990 0.732
O 0.268 0.230 0.990
O 0.768 0.270 0.490
O 0.510 0.232 0.270
O 0.232 0.270 0.510
O 0.990 0.268 0.230
Bi 0.750 0.250 0.250
Bi 0.250 0.750 0.250
Bi 0.750 0.750 0.750
Bi 0.250 0.250 0.750
Sm 0.750 0.750 0.250
Sm 0.750 0.250 0.750
Sm 0.250 0.750 0.750
Sm 0.250 0.250 0.250

No. 4
The following is a r²SCAN calculation of Na3Si3SnO9F after structural relaxation, from the Materials Project database.

- space-group type = C2/m

abc: 8.754 8.754 6.521
angles: 77.06 77.06 105.88
Positions (direct):
Sn 0.723 0.277 0.500
Sn 0.277 0.723 0.500
Si 0.785 0.215 0.000
Si 0.312 0.092 0.601
Si 0.908 0.688 0.399
Si 0.215 0.785 0.000
Si 0.688 0.908 0.399
Si 0.092 0.312 0.601
O 0.157 0.157 0.592
O 0.725 0.017 0.141
O 0.521 0.748 0.464
O 0.252 0.479 0.536
O 0.674 0.026 0.556
O 0.329 0.774 0.161
O 0.843 0.843 0.408
O 0.774 0.329 0.161
O 0.275 0.983 0.859
O 0.017 0.725 0.141
O 0.326 0.974 0.444
O 0.671 0.226 0.839
O 0.974 0.326 0.444
O 0.479 0.252 0.536
O 0.226 0.671 0.839
O 0.026 0.674 0.556
O 0.983 0.275 0.859
O 0.748 0.521 0.464
Na 0.878 0.606 0.922
Na 0.394 0.122 0.078
Na 0.512 0.512 0.737
Na 0.122 0.394 0.078
Na 0.488 0.488 0.263
Na 0.606 0.878 0.922
F 0.351 0.351 0.070
F 0.649 0.649 0.930

No. 5
The following is a r²SCAN calculation of CaWO4 after structural relaxation, from the Materials Project database.

- space-group type = I4_1/a

abc: 5.254 5.258 6.784
angles: 112.82 112.80 89.96
Positions (direct):
Ca 0.125 0.375 0.750
Ca 0.875 0.625 0.250
O 0.443 0.280 0.077
O 0.220 0.366 0.423
O 0.703 0.057 0.423
O 0.557 0.720 0.923
O 0.780 0.634 0.577
O 0.866 0.203 0.923
O 0.297 0.943 0.577
O 0.134 0.797 0.077
W 0.375 0.125 0.250
W 0.625 0.875 0.750

No. 6
The following is a r²SCAN calculation of CaTcO3 after structural relaxation, from the Materials Project database.

- space-group type = Pnma

abc: 5.420 5.594 7.745
angles: 90.00 90.00 90.00
Positions (direct):
Ca 0.986 0.556 0.750
Ca 0.514 0.056 0.750
Ca 0.486 0.944 0.250
Ca 0.014 0.444 0.250
Tc 0.000 0.000 0.500
Tc 0.500 0.500 0.000
Tc 0.000 0.000 0.000
Tc 0.500 0.500 0.500
O 0.097 0.968 0.750
O 0.699 0.798 0.550
O 0.801 0.298 0.550
O 0.199 0.702 0.450
O 0.199 0.702 0.050
O 0.301 0.202 0.050
O 0.699 0.798 0.950
O 0.597 0.532 0.250
O 0.903 0.032 0.250
O 0.403 0.468 0.750
O 0.301 0.202 0.450
O 0.801 0.298 0.950

No. 7
The following is a r²SCAN calculation of Pr2Sb after structural relaxation, from the Materials Project database.

- space-group type = I4/mmm

abc: 4.602 4.602 9.569
angles: 103.93 103.91 90.00
Positions (direct):
Pr 0.679 0.679 0.359
Pr 0.000 0.500 0.000
Pr 0.321 0.321 0.641
Pr 0.500 0.000 0.000
Sb 0.139 0.139 0.277
Sb 0.861 0.861 0.723

No. 8
The following is a r²SCAN calculation of NaLaS2 after structural relaxation, from the Materials Project database.

- space-group type = R-3m

abc: 7.051 7.051 7.051
angles: 34.80 34.80 34.80
Positions (direct):
Na 0.500 0.500 0.500
La 0.000 0.000 0.000
S 0.254 0.254 0.254
S 0.746 0.746 0.746

No. 9
The following is a r²SCAN calculation of Tm2ZnIn after structural relaxation, from the Materials Project database.

- space-group type = Fm-3m

abc: 5.097 5.097 5.097
angles: 60.00 60.00 60.00
Positions (direct):
Tm 0.250 0.250 0.250
Tm 0.750 0.750 0.750
Zn 0.000 0.000 0.000
In 0.500 0.500 0.500

No. 10
The following is a r²SCAN calculation of Cs3InF6 after structural relaxation, from the Materials Project database.

- space-group type = Fm-3m

abc: 6.871 6.871 6.871
angles: 60.00 60.00 60.00
Positions (direct):
F 0.214 0.786 0.214
F 0.786 0.214 0.786
F 0.214 0.214 0.786
F 0.214 0.786 0.786
F 0.786 0.214 0.214
F 0.786 0.786 0.214
In 0.000 0.000 0.000
Cs 0.500 0.500 0.500
Cs 0.750 0.750 0.750
Cs 0.250 0.250 0.250

No. 11
The following is a r²SCAN calculation of H2S after structural relaxation, from the Materials Project database.

- space-group type = Ibca

abc: 7.846 7.846 7.846
angles: 100.24 114.61 113.95
Positions (direct):
H 0.492 0.099 0.265
H 0.334 0.599 0.607
H 0.175 0.774 0.775
H 0.008 0.773 0.107
H 0.001 0.100 0.275
H 0.675 0.400 0.902
H 0.999 0.900 0.725
H 0.501 0.726 0.402
H 0.834 0.727 0.235
H 0.825 0.226 0.225
H 0.992 0.227 0.893
H 0.499 0.274 0.598
H 0.508 0.901 0.735
H 0.325 0.600 0.098
H 0.666 0.401 0.393
H 0.166 0.273 0.765
S 0.530 0.750 0.780
S 0.480 0.230 0.750
S 0.030 0.750 0.280
S 0.970 0.250 0.720
S 0.980 0.730 0.750
S 0.520 0.770 0.250
S 0.470 0.250 0.220
S 0.020 0.270 0.250

No. 12
The following is a r²SCAN calculation of CrHO2 after structural relaxation, from the Materials Project database.

- space-group type = P2_1/c

abc: 4.786 19.149 9.093
angles: 18.26 32.21 36.53
Positions (direct):
Cr 0.988 0.750 0.007
Cr 0.012 0.000 0.993
Cr 0.988 0.500 0.007
Cr 0.012 0.250 0.993
O 0.411 0.998 0.411
O 0.404 0.749 0.410
O 0.596 0.249 0.596
O 0.596 0.001 0.590
O 0.589 0.752 0.589
O 0.411 0.252 0.404
O 0.589 0.498 0.596
O 0.404 0.501 0.404
H 0.512 0.499 0.515
H 0.488 0.999 0.488
H 0.488 0.251 0.485
H 0.512 0.751 0.512

no.,DFT formation energy (eV per atom)
1,-0.395
2,-2.722
3,-2.600
4,-2.692
5,-2.847
6,-2.402
7,-1.001
8,-2.125
9,-0.468
10,-2.930
11,-0.166
12,-1.924